Record 1
A relaxed structure of K2DyNb5O15, computed with PBE.

Cell lengths 12.751, 12.751, 3.954 Å; angles 90.00, 90.00, 90.00 degrees
Fractional positions:
Dy  0.500  0.500  0.500
Dy  0.000  0.000  0.500
K  0.670  0.170  0.500
K  0.830  0.670  0.500
K  0.170  0.330  0.500
K  0.330  0.830  0.500
O  0.000  0.342  0.000
O  0.842  0.500  0.000
O  0.131  0.942  0.000
O  0.058  0.131  0.000
O  0.185  0.078  0.500
O  0.922  0.185  0.500
O  0.500  0.000  0.500
O  0.869  0.058  0.000
O  0.717  0.783  0.000
O  0.158  0.500  0.000
O  0.658  0.000  0.000
O  0.000  0.658  0.000
O  0.685  0.422  0.500
O  0.558  0.369  0.000
O  0.500  0.842  0.000
O  0.422  0.315  0.500
O  0.342  0.000  0.000
O  0.631  0.558  0.000
O  0.283  0.217  0.000
O  0.942  0.869  0.000
O  0.442  0.631  0.000
O  0.217  0.717  0.000
O  0.815  0.922  0.500
O  0.783  0.283  0.000
O  0.000  0.500  0.500
O  0.315  0.578  0.500
O  0.578  0.685  0.500
O  0.500  0.158  0.000
O  0.369  0.442  0.000
O  0.078  0.815  0.500
Nb  0.500  0.000  0.000
Nb  0.077  0.788  0.000
Nb  0.212  0.077  0.000
Nb  0.712  0.423  0.000
Nb  0.923  0.212  0.000
Nb  0.577  0.712  0.000
Nb  0.288  0.577  0.000
Nb  0.423  0.288  0.000
Nb  0.000  0.500  0.000
Nb  0.788  0.923  0.000

Summary:
total moment = 0.00 μB/f.u.
formation enthalpy at 0 K = -3.067 eV/atom



Record 2
A relaxed structure of RbMg6Cu, computed with PBE.

Cell lengths 8.335, 8.335, 4.594 Å; angles 90.00, 90.00, 135.71 degrees
Fractional positions:
Mg  0.873  0.127  0.500
Mg  0.833  0.677  0.500
Mg  0.323  0.167  0.500
Mg  0.698  0.791  0.000
Mg  0.209  0.302  0.000
Mg  0.684  0.316  0.000
Cu  0.098  0.902  0.000
Rb  0.283  0.717  0.500

Summary:
polymorph energy (0 for the lowest one) = 0 meV per atom
total moment = 0.00 μB/f.u.
formation enthalpy at 0 K = 0.221 eV/atom



Record 3
A relaxed structure of CaYPd2, computed with PBE.

Cell lengths 4.979, 4.979, 4.979 Å; angles 60.00, 60.00, 60.00 degrees
Fractional positions:
Y  0.000  0.000  0.000
Ca  0.500  0.500  0.500
Pd  0.750  0.750  0.750
Pd  0.250  0.250  0.250

Summary:
total moment = 0.00 μB/f.u.
formation enthalpy at 0 K = -0.785 eV/atom



Record 4
A relaxed structure of Te2MoW3Se6, computed with PBE.

Cell lengths 3.382, 3.382, 38.486 Å; angles 90.00, 90.00, 120.00 degrees
Fractional positions:
Te  0.333  0.667  0.608
Te  0.333  0.667  0.707
Se  0.333  0.667  0.325
Se  0.667  0.333  0.051
Se  0.667  0.333  0.513
Se  0.333  0.667  0.239
Se  0.667  0.333  0.426
Se  0.667  0.333  0.137
W  0.333  0.667  0.470
W  0.333  0.667  0.094
W  0.667  0.333  0.658
Mo  0.667  0.333  0.282

Summary:
polymorph energy (0 for the lowest one) = 20 meV per atom
total moment = 0.00 μB/f.u.
formation enthalpy at 0 K = -0.680 eV/atom



Record 5
A relaxed structure of KSmHfSnO6, computed with PBE.

Cell lengths 5.791, 5.791, 5.791 Å; angles 60.00, 60.00, 60.00 degrees
Fractional positions:
O  0.250  0.250  0.750
O  0.250  0.750  0.750
O  0.750  0.250  0.750
O  0.750  0.750  0.250
O  0.750  0.250  0.250
O  0.250  0.750  0.250
Hf  0.000  0.000  0.000
Sn  0.500  0.500  0.500
K  0.250  0.250  0.250
Sm  0.750  0.750  0.750

Summary:
total moment = 0.00 μB/f.u.
formation enthalpy at 0 K = -2.948 eV/atom



Record 6
A relaxed structure of Rb3CoCl5, computed with PBE.

Cell lengths 8.983, 8.983, 9.584 Å; angles 117.95, 117.95, 90.00 degrees
Fractional positions:
Cl  0.986  0.486  0.691
Cl  0.486  0.705  0.691
Cl  0.205  0.986  0.691
Cl  0.500  0.500  0.000
Cl  0.795  0.014  0.309
Cl  0.014  0.514  0.309
Cl  0.514  0.295  0.309
Cl  0.295  0.795  0.309
Cl  0.000  0.000  0.000
Cl  0.705  0.205  0.691
Rb  0.333  0.833  0.000
Rb  0.833  0.667  0.000
Rb  0.667  0.167  0.000
Rb  0.167  0.333  0.000
Rb  0.250  0.250  0.500
Rb  0.750  0.750  0.500
Co  0.750  0.250  0.500
Co  0.250  0.750  0.500

Summary:
formation enthalpy at 0 K = -1.872 eV/atom



Record 7
A relaxed structure of Na2Al3As9O28, computed with PBE.

Cell lengths 7.632, 9.052, 9.605 Å; angles 63.72, 75.82, 100.84 degrees
Fractional positions:
O  0.690  0.156  0.297
O  0.341  0.525  0.826
O  0.164  0.447  0.628
O  0.041  0.971  0.641
O  0.041  0.477  0.136
O  0.764  0.410  0.691
O  0.581  0.283  0.025
O  0.959  0.023  0.364
O  0.049  0.220  0.983
O  0.693  0.662  0.793
O  0.310  0.344  0.203
O  0.758  0.907  0.197
O  0.954  0.784  0.015
O  0.419  0.217  0.475
O  0.838  0.555  0.369
O  0.307  0.838  0.707
O  0.242  0.593  0.303
O  0.419  0.720  0.968
O  0.046  0.716  0.485
O  0.836  0.053  0.872
O  0.959  0.529  0.859
O  0.236  0.090  0.809
O  0.951  0.280  0.517
O  0.162  0.945  0.131
O  0.659  0.975  0.674
O  0.341  0.025  0.321
O  0.581  0.780  0.532
O  0.659  0.475  0.179
As  0.130  0.924  0.322
As  0.269  0.037  0.659
As  0.876  0.076  0.680
As  0.731  0.463  0.841
As  0.263  0.528  0.160
As  0.737  0.972  0.340
As  0.124  0.424  0.820
As  0.500  0.750  0.750
As  0.870  0.576  0.178
Na  0.489  0.511  0.468
Na  0.511  0.989  0.032
Al  0.004  0.997  0.003
Al  0.500  0.250  0.250
Al  0.996  0.503  0.497

Summary:
total moment = 0.00 μB/f.u.
formation enthalpy at 0 K = -2.020 eV/atom



Record 8
A relaxed structure of AlPO4, computed with PBE.

Cell lengths 5.055, 5.055, 11.164 Å; angles 90.00, 90.00, 120.00 degrees
Fractional positions:
P  0.474  0.000  0.167
P  0.526  0.526  0.500
P  0.000  0.474  0.833
O  0.171  0.754  0.222
O  0.138  0.720  0.735
O  0.829  0.583  0.445
O  0.582  0.862  0.068
O  0.862  0.582  0.932
O  0.246  0.417  0.889
O  0.418  0.280  0.598
O  0.583  0.829  0.555
O  0.280  0.418  0.402
O  0.417  0.246  0.111
O  0.720  0.138  0.265
O  0.754  0.171  0.778
Al  0.527  0.527  0.000
Al  0.000  0.473  0.333
Al  0.473  0.000  0.667

Summary:
maximum piezoelectric response = 0.24 C/m²
formation enthalpy at 0 K = -3.112 eV/atom



Record 9
A relaxed structure of Li2AsPCO7, computed with PBE.

Cell lengths 6.542, 5.097, 8.943 Å; angles 86.07, 90.00, 90.00 degrees
Fractional positions:
Li  0.542  0.760  0.232
Li  0.458  0.240  0.768
Li  0.042  0.240  0.768
Li  0.958  0.760  0.232
As  0.250  0.180  0.353
As  0.750  0.820  0.647
O  0.750  0.190  0.573
O  0.750  0.742  0.069
O  0.750  0.953  0.839
O  0.063  0.885  0.672
O  0.250  0.486  0.141
O  0.250  0.258  0.931
O  0.250  0.810  0.427
O  0.250  0.449  0.635
O  0.750  0.551  0.365
O  0.563  0.115  0.328
O  0.937  0.115  0.328
O  0.437  0.885  0.672
O  0.750  0.514  0.859
O  0.250  0.047  0.161
P  0.250  0.746  0.604
P  0.750  0.254  0.396
C  0.250  0.275  0.070
C  0.750  0.725  0.930

Summary:
total moment = 0.00 μB/f.u.
formation enthalpy at 0 K = -2.204 eV/atom



Record 10
A relaxed structure of NaHoBO5, computed with PBE.

Cell lengths 4.614, 6.324, 6.831 Å; angles 90.00, 90.00, 109.89 degrees
Fractional positions:
O  0.931  0.463  0.750
O  0.575  0.242  0.250
O  0.425  0.758  0.750
O  0.990  0.195  0.074
O  0.010  0.805  0.926
O  0.990  0.195  0.426
O  0.603  0.838  0.250
O  0.069  0.537  0.250
O  0.397  0.162  0.750
O  0.010  0.805  0.574
Ho  0.146  0.916  0.250
Ho  0.854  0.084  0.750
Na  0.500  0.500  0.500
Na  0.500  0.500  0.000
B  0.095  0.705  0.750
B  0.905  0.295  0.250

Summary:
total moment = 3.00 μB/f.u.
formation enthalpy at 0 K = -2.359 eV/atom



Record 11
A relaxed structure of SbRhSe, computed with PBE.

Cell lengths 6.261, 6.261, 6.261 Å; angles 90.00, 90.00, 90.00 degrees
Fractional positions:
Rh  0.005  0.495  0.505
Rh  0.995  0.995  0.995
Rh  0.505  0.005  0.495
Rh  0.495  0.505  0.005
Sb  0.123  0.877  0.377
Sb  0.377  0.123  0.877
Sb  0.623  0.623  0.623
Sb  0.877  0.377  0.123
Se  0.378  0.378  0.378
Se  0.122  0.622  0.878
Se  0.878  0.122  0.622
Se  0.622  0.878  0.122

Summary:
total moment = 0.00 μB/f.u.
formation enthalpy at 0 K = -0.710 eV/atom



Record 12
A relaxed structure of Lu2CuRu, computed with PBE.

Cell lengths 4.731, 4.731, 4.731 Å; angles 60.00, 60.00, 60.00 degrees
Fractional positions:
Ru  0.000  0.000  0.000
Cu  0.500  0.500  0.500
Lu  0.250  0.250  0.250
Lu  0.750  0.750  0.750

Summary:
formation enthalpy at 0 K = -0.437 eV/atom